# V3F10

Crystalline V3F10 at its relaxed geometry (PBE+U, the Materials Project).

Properties
- ΔE_f: -3042.9 meV per atom
- Excess energy over the best structure of this formula in the dataset: 0.0220 eV per atom
- Total energy: -5.864 eV/atom

Unit cell a=7.195 b=6.453 c=7.680 alpha=90.01 beta=90.00 gamma=90.00
Sites, in units of the cell vectors:
F 0.196 0.797 0.975
F 0.500 0.664 0.954
F 0.804 0.799 0.975
F 0.734 0.449 0.750
F 0.804 0.201 0.025
F 0.500 0.336 0.454
F 0.500 0.664 0.546
F 0.196 0.203 0.025
F 0.804 0.203 0.475
F 0.734 0.551 0.250
F 0.000 0.500 0.000
F 0.195 0.799 0.525
F 0.804 0.797 0.525
F 0.195 0.201 0.475
F 0.000 0.038 0.750
F 0.500 0.336 0.046
F 0.266 0.449 0.750
F 0.000 0.500 0.500
F 0.000 0.962 0.250
F 0.266 0.551 0.250
V 0.000 0.000 0.500
V 0.000 0.000 0.000
V 0.272 0.500 0.500
V 0.728 0.500 0.500
V 0.728 0.500 0.000
V 0.272 0.500 0.000



# VF4

Crystalline VF4 at its relaxed geometry (PBE+U, the Materials Project).

Properties
- ΔE_f: -2654.5 meV per atom
- Total energy: -5.293 eV/atom

Unit cell a=6.536 b=6.536 c=5.572 alpha=65.34 beta=65.34 gamma=50.42
Sites, in units of the cell vectors:
V 0.997 0.509 0.495
V 0.509 0.997 0.995
F 0.223 0.043 0.956
F 0.455 0.284 0.718
F 0.949 0.794 0.543
F 0.794 0.949 0.043
F 0.719 0.556 0.788
F 0.043 0.223 0.456
F 0.556 0.719 0.288
F 0.284 0.455 0.218



# VF3

Crystalline VF3 at its relaxed geometry (PBE+U, the Materials Project).

Properties
- ΔE_f: -3210.3 meV per atom
- Total energy: -6.146 eV/atom

Unit cell a=5.146 b=5.402 c=7.495 alpha=90.00 beta=90.00 gamma=90.00
Sites, in units of the cell vectors:
F 0.379 0.028 0.750
F 0.683 0.690 0.940
F 0.183 0.810 0.440
F 0.621 0.972 0.250
F 0.183 0.810 0.060
F 0.683 0.690 0.560
F 0.317 0.310 0.060
F 0.121 0.528 0.750
F 0.817 0.190 0.560
F 0.879 0.472 0.250
F 0.817 0.190 0.940
F 0.317 0.310 0.440
V 0.500 0.000 0.000
V 0.500 0.000 0.500
V 0.000 0.500 0.500
V 0.000 0.500 0.000